Entry 1:
The following is a PBE+U calculation of a relaxed Cr19O48 crystal, from the Materials Project database.

Computed properties:
Its formation enthalpy at 0 K is -1.681 eV/atom. Its energy with MP2020 corrections is -7.964 eV/atom. The calculated volume comes out at 13.33 A^3/atom. The calculation puts the magnetization at 0.27 μB/atom. The space-group type is P1, No. 1.

a b c (Å): 5.0086 10.2792 17.3437
angles (deg): 89.71 89.27 89.93
Closest atoms and distances in Å follow each position.
Atoms (fractional coordinates):
Cr1 0.2367 0.7490 0.9422  4 O 1.65-1.69
Cr2 0.2339 0.0274 0.6557  4 O 1.58-1.75
Cr3 0.2337 0.4717 0.6537  4 O 1.59-1.75
Cr4 0.2277 0.7556 0.2946  6 O 1.96-2.06
Cr5 0.2236 0.0668 0.9764  6 O 1.87-2.03
Cr6 0.2875 0.5260 0.1510  4 O 1.65-1.68
Cr7 0.2912 0.9752 0.1567  4 O 1.59-1.73
Cr8 0.2963 0.2504 0.4463  4 O 1.65-1.78
Cr9 0.4129 0.7434 0.7468  4 O 1.75-1.90
Cr10 0.5867 0.2504 0.2482  6 O 1.97-2.09
Cr11 0.7166 0.7502 0.5607  4 O 1.59-1.73
Cr12 0.7150 0.4753 0.8431  3 O 1.60-1.70
Cr13 0.7065 0.0233 0.8482  4 O 1.59-1.75
Cr14 0.7704 0.0636 0.5274  6 O 1.96-2.16
Cr15 0.7687 0.4359 0.5271  6 O 1.96-2.16
Cr16 0.7683 0.5649 0.0202  6 O 1.95-2.01
Cr17 0.7571 0.5308 0.3425  4 O 1.65-1.68
Cr18 0.7591 0.9698 0.3440  4 O 1.66-1.68
Cr19 0.7618 0.2456 0.0548  4 O 1.65-1.71
O1 0.0481 0.2258 0.0009  2 Cr 1.71-1.90
O2 0.0370 0.6160 0.3567  1 Cr 1.68
O3 0.0403 0.8864 0.3616  1 Cr 1.68
O4 0.1297 0.6278 0.2092  1 Cr 1.65
O5 0.1065 0.8771 0.2147  1 Cr 1.69
O6 0.1059 0.1238 0.4680  1 Cr 1.65
O7 0.1059 0.3769 0.4674  1 Cr 1.65
O8 0.1113 0.0026 0.0737  2 Cr 1.73-1.89
O9 0.0786 0.4959 0.0787  1 Cr 1.67
O10 0.1842 0.7488 0.8463  1 Cr 1.69
O11 0.1869 0.6198 0.7017  2 Cr 1.75-1.88
O12 0.2013 0.8798 0.7058  2 Cr 1.75-1.90
O13 0.3603 0.1144 0.2033  1 Cr 1.68
O14 0.3652 0.3879 0.1978  1 Cr 1.68
O15 0.3756 0.2510 0.3528  1 Cr 1.66
O16 0.4362 0.4938 0.5772  1 Cr 1.67
O17 0.4392 0.0059 0.5798  1 Cr 1.67
O18 0.3819 0.8884 0.9672  1 Cr 1.67
O19 0.4497 0.6318 0.9638  1 Cr 1.65
O20 0.3745 0.1255 0.7125  1 Cr 1.58
O21 0.3868 0.3779 0.7110  1 Cr 1.59
O22 0.4236 0.0996 0.8868  2 Cr 1.75-1.87
O23 0.4621 0.3924 0.8711  1 Cr 1.60
O24 0.4630 0.7507 0.5064  1 Cr 1.59
O25 0.5842 0.2498 0.5053  1 Cr 1.78
O26 0.5624 0.6010 0.1176  1 Cr 1.67
O27 0.5578 0.9009 0.1324  1 Cr 1.59
O28 0.5416 0.6255 0.2979  1 Cr 1.65
O29 0.5439 0.8755 0.2989  1 Cr 1.66
O30 0.5496 0.1292 0.0333  1 Cr 1.65
O31 0.6197 0.3843 0.0300  1 Cr 1.65
O32 0.6175 0.0117 0.4274  1 Cr 1.66
O33 0.6199 0.4892 0.4269  1 Cr 1.66
O34 0.6266 0.7521 0.6574  2 Cr 1.73-1.87
O35 0.6079 0.6250 0.7926  2 Cr 1.75-1.85
O36 0.6274 0.8862 0.8014  1 Cr 1.68
O37 0.8129 0.1070 0.2934  1 Cr 1.68
O38 0.8119 0.3942 0.2915  1 Cr 1.68
O39 0.8122 0.2444 0.1500  1 Cr 1.67
O40 0.9085 0.5135 0.9197  1 Cr 1.70
O41 0.9194 0.9964 0.9221  1 Cr 1.70
O42 0.9001 0.6159 0.5412  1 Cr 1.69
O43 0.9027 0.8833 0.5401  1 Cr 1.69
O44 0.8497 0.1219 0.7903  1 Cr 1.59
O45 0.8966 0.3889 0.7870  1 Cr 1.60
O46 0.9475 0.0991 0.6253  1 Cr 1.70
O47 0.9496 0.3971 0.6246  1 Cr 1.70
O48 0.9581 0.7311 0.9962  1 Cr 1.68

Entry 2:
The following is a PBE+U calculation of a relaxed Cr2O3 crystal, from the Materials Project database.

Computed properties:
Its formation enthalpy at 0 K is -1.996 eV/atom. Its energy with MP2020 corrections is -8.826 eV/atom. The calculated volume comes out at 11.74 A^3/atom. The calculation puts the magnetization at 1.20 μB/atom. The space-group type is P1, No. 1.

a b c (Å): 10.1174 9.5938 9.7108
angles (deg): 89.53 94.50 91.25
Closest atoms and distances in Å follow each position.
Atoms (fractional coordinates):
Cr1 0.6258 0.5257 0.4408  6 O 1.99-2.18
Cr2 0.5898 0.1644 0.5018  5 O 1.92-2.12
Cr3 0.7272 0.1355 0.8674  5 O 1.94-2.04
Cr4 0.3309 0.9488 0.4831  4 O 1.93-2.05
Cr5 0.5699 0.3720 0.1630  5 O 1.91-2.13
Cr6 0.7163 0.0898 0.1559  5 O 1.90-2.03
Cr7 0.4171 0.9004 0.8472  5 O 1.95-2.13
Cr8 0.9257 0.7130 0.4899  4 O 1.89-1.97
Cr9 0.3832 0.6643 0.6671  5 O 1.88-2.05
Cr10 0.6394 0.7061 0.9348  4 O 1.87-2.08
Cr11 0.8660 0.6170 0.7560  4 O 1.85-2.04
Cr12 0.0674 0.3547 0.2948  4 O 1.93-2.16
Cr13 0.6932 0.8274 0.2924  4 O 1.89-2.09
Cr14 0.8305 0.5253 0.1286  4 O 1.94-2.10
Cr15 0.8971 0.8185 0.0023  6 O 1.97-2.07
Cr16 0.8268 0.2864 0.6547  5 O 1.93-2.11
Cr17 0.6557 0.9026 0.6611  6 O 1.98-2.22
Cr18 0.0747 0.3554 0.8337  4 O 1.90-1.95
Cr19 0.8970 0.0090 0.4857  5 O 1.96-2.05
Cr20 0.3399 0.5718 0.9662  3 O 1.90-2.12
Cr21 0.4075 0.8521 0.1466  5 O 1.93-2.14
Cr22 0.1244 0.8615 0.7334  5 O 1.91-2.08
Cr23 0.0127 0.0828 0.9552  5 O 1.89-2.06
Cr24 0.8013 0.3007 0.3549  5 O 1.94-2.01
Cr25 0.5459 0.3637 0.8868  5 O 1.92-2.02
Cr26 0.3395 0.3971 0.6145  4 O 1.84-2.05
Cr27 0.1005 0.6257 0.0910  5 O 1.94-2.04
Cr28 0.1506 0.1443 0.6123  4 O 1.86-2.06
Cr29 0.2734 0.1737 0.0634  4 O 1.89-2.02
Cr30 0.3698 0.6037 0.3594  6 O 2.02-2.19
Cr31 0.1137 0.9456 0.2711  4 O 1.88-1.98
Cr32 0.3274 0.2821 0.3526  5 O 1.93-2.07
O1 0.1787 0.3408 0.6760  3 Cr 1.84-2.00
O2 0.2796 0.9906 0.6784  4 Cr 2.05-2.24
O3 0.9258 0.6110 0.9710  4 Cr 2.03-2.13
O4 0.8288 0.0156 0.0097  4 Cr 2.02-2.06
O5 0.8964 0.3032 0.1868  2 Cr 1.96-2.01
O6 0.8231 0.9905 0.2918  3 Cr 1.90-2.02
O7 0.0441 0.8951 0.9013  3 Cr 1.91-1.97
O8 0.7566 0.7281 0.1189  4 Cr 2.06-2.10
O9 0.7539 0.0855 0.5978  4 Cr 2.00-2.11
O10 0.0194 0.0156 0.6526  3 Cr 1.86-1.96
O11 0.0340 0.7995 0.1567  3 Cr 1.92-1.97
O12 0.1994 0.1295 0.4215  2 Cr 1.96-2.07
O13 0.6285 0.2051 0.2938  4 Cr 2.01-2.12
O14 0.1175 0.0761 0.1254  3 Cr 1.88-1.95
O15 0.3115 0.7492 0.4979  3 Cr 1.93-2.07
O16 0.1626 0.5021 0.9468  3 Cr 1.90-1.99
O17 0.4720 0.7459 0.9924  3 Cr 1.87-2.09
O18 0.0369 0.8716 0.4328  3 Cr 1.93-2.05
O19 0.5492 0.6956 0.3387  3 Cr 1.98-2.04
O20 0.6645 0.2959 0.7585  3 Cr 1.92-2.00
O21 0.9486 0.2401 0.4838  2 Cr 1.96-2.20
O22 0.6415 0.2264 0.0164  4 Cr 1.96-2.18
O23 0.2353 0.4373 0.4216  2 Cr 1.93-2.11
O24 0.9121 0.2094 0.8326  4 Cr 1.94-2.14
O25 0.7824 0.8396 0.4966  3 Cr 1.92-2.12
O26 0.4654 0.4319 0.3067  3 Cr 1.91-2.05
O27 0.0083 0.7090 0.6710  3 Cr 1.89-1.93
O28 0.2776 0.7439 0.8130  3 Cr 2.01-2.05
O29 0.1672 0.1876 0.8955  3 Cr 1.89-1.96
O30 0.4630 0.5405 0.5421  4 Cr 1.94-2.04
O31 0.5237 0.9719 0.5110  3 Cr 1.95-2.02
O32 0.5798 0.0127 0.8067  3 Cr 1.94-2.01
O33 0.7754 0.7894 0.8232  4 Cr 1.97-2.20
O34 0.3586 0.9964 0.0073  3 Cr 1.95-2.02
O35 0.5853 0.9413 0.1732  3 Cr 1.89-1.97
O36 0.2930 0.6621 0.1560  4 Cr 2.02-2.14
O37 0.4115 0.4930 0.7933  4 Cr 2.02-2.05
O38 0.4134 0.3567 0.0271  2 Cr 1.98
O39 0.3096 0.9423 0.2828  3 Cr 1.93-1.98
O40 0.2152 0.3206 0.1867  3 Cr 1.93-1.98
O41 0.7224 0.4693 0.2774  4 Cr 1.94-2.04
O42 0.0058 0.5406 0.2422  3 Cr 1.95-2.02
O43 0.6366 0.5075 0.0062  3 Cr 1.97-2.13
O44 0.6944 0.3407 0.5079  4 Cr 1.95-2.01
O45 0.5350 0.7620 0.7416  2 Cr 1.88-2.00
O46 0.7877 0.5892 0.5577  3 Cr 1.96-2.04
O47 0.9327 0.4424 0.7296  3 Cr 1.85-1.93
O48 0.4226 0.2460 0.5298  3 Cr 1.91-1.94

Entry 3:
The following is a PBE+U calculation of a relaxed Cr3O7 crystal, from the Materials Project database.

Computed properties:
Its formation enthalpy at 0 K is -1.719 eV/atom. Its energy with MP2020 corrections is -8.078 eV/atom. The calculated volume comes out at 15.69 A^3/atom. The calculation puts the magnetization at 0.40 μB/atom. The space-group type is Pnma, No. 62.

a b c (Å): 5.2875 10.5388 11.2639
angles (deg): 90.00 90.00 90.00
Closest atoms and distances in Å follow each position.
Atoms (fractional coordinates):
Cr1 0.2947 0.0201 0.3030  1 O 1.58
Cr2 0.7947 0.9799 0.1970  1 O 1.58
Cr3 0.7053 0.5201 0.6970  1 O 1.58
Cr4 0.2053 0.4799 0.8030  1 O 1.58
Cr5 0.2962 0.7500 0.2264  1 O 1.63
Cr6 0.7962 0.2500 0.2736  1 O 1.63
Cr7 0.7038 0.2500 0.7736  1 O 1.63
Cr8 0.2038 0.7500 0.7264  1 O 1.63
Cr9 0.7947 0.5201 0.1970  1 O 1.58
Cr10 0.2947 0.4799 0.3030  1 O 1.58
Cr11 0.2053 0.0201 0.8030  1 O 1.58
Cr12 0.7053 0.9799 0.6970  1 O 1.58
O1 0.9370 0.1136 0.7311  3 Cr 1.91-1.95
O2 0.4370 0.8864 0.7689  3 Cr 1.91-1.95
O3 0.0630 0.6136 0.2689  3 Cr 1.91-1.95
O4 0.5630 0.3864 0.2311  3 Cr 1.91-1.95
O5 0.0630 0.8864 0.2689  3 Cr 1.91-1.95
O6 0.5630 0.1136 0.2311  3 Cr 1.91-1.95
O7 0.9370 0.3864 0.7311  3 Cr 1.91-1.95
O8 0.4370 0.6136 0.7689  3 Cr 1.91-1.95
O9 0.4683 0.1131 0.7272  3 Cr 1.90-1.98
O10 0.9683 0.8869 0.7728  3 Cr 1.90-1.98
O11 0.5317 0.6131 0.2728  3 Cr 1.90-1.98
O12 0.0317 0.3869 0.2272  3 Cr 1.90-1.98
O13 0.5317 0.8869 0.2728  3 Cr 1.90-1.98
O14 0.0317 0.1131 0.2272  3 Cr 1.90-1.98
O15 0.4683 0.3869 0.7272  3 Cr 1.90-1.98
O16 0.9683 0.6131 0.7728  3 Cr 1.90-1.98
O17 0.1905 0.7500 0.5820  1 Cr 1.63
O18 0.6905 0.2500 0.9180  1 Cr 1.63
O19 0.8095 0.2500 0.4180  1 Cr 1.63
O20 0.3095 0.7500 0.0820  1 Cr 1.63
O21 0.2149 0.4426 0.9389  1 Cr 1.58
O22 0.7149 0.5574 0.5611  1 Cr 1.58
O23 0.7851 0.9426 0.0611  1 Cr 1.58
O24 0.2851 0.0574 0.4389  1 Cr 1.58
O25 0.7851 0.5574 0.0611  1 Cr 1.58
O26 0.2851 0.4426 0.4389  1 Cr 1.58
O27 0.2149 0.0574 0.9389  1 Cr 1.58
O28 0.7149 0.9426 0.5611  1 Cr 1.58

Entry 4:
The following is a PBE+U calculation of a relaxed Cr3O8 crystal, from the Materials Project database.

Computed properties:
Its formation enthalpy at 0 K is -1.645 eV/atom. Its energy with MP2020 corrections is -7.876 eV/atom. The calculated volume comes out at 13.60 A^3/atom. The calculation puts the magnetization at 0.18 μB/atom. The space-group type is Pnnm, No. 58.

a b c (Å): 5.4921 6.6102 8.2437
angles (deg): 90.00 90.00 90.00
Closest atoms and distances in Å follow each position.
Atoms (fractional coordinates):
Cr1 0.0000 0.5000 0.0000  6 O 1.92-1.98
Cr2 0.0000 0.2160 0.3426  4 O 1.58-1.71
Cr3 0.0000 0.7840 0.6574  4 O 1.58-1.71
Cr4 0.5000 0.2840 0.8426  4 O 1.58-1.71
Cr5 0.5000 0.7160 0.1574  4 O 1.58-1.71
Cr6 0.5000 0.0000 0.5000  6 O 1.92-1.98
O1 0.0000 0.9738 0.7741  1 Cr 1.58
O2 0.0000 0.4311 0.2332  1 Cr 1.68
O3 0.0000 0.5689 0.7668  1 Cr 1.68
O4 0.0000 0.0262 0.2259  1 Cr 1.58
O5 0.7529 0.2989 0.9636  1 Cr 1.71
O6 0.7529 0.7011 0.0364  1 Cr 1.71
O7 0.7471 0.7989 0.5364  1 Cr 1.71
O8 0.7471 0.2011 0.4636  1 Cr 1.71
O9 0.5000 0.0689 0.7332  1 Cr 1.68
O10 0.5000 0.4738 0.7259  1 Cr 1.58
O11 0.5000 0.9311 0.2668  1 Cr 1.68
O12 0.5000 0.5262 0.2741  1 Cr 1.58
O13 0.2529 0.7989 0.5364  1 Cr 1.71
O14 0.2529 0.2011 0.4636  1 Cr 1.71
O15 0.2471 0.2989 0.9636  1 Cr 1.71
O16 0.2471 0.7011 0.0364  1 Cr 1.71

Entry 5:
The following is a PBE+U calculation of a relaxed Cr3O8 crystal, from the Materials Project database.

Computed properties:
Its formation enthalpy at 0 K is -1.351 eV/atom. Its energy with MP2020 corrections is -7.582 eV/atom. The calculated volume comes out at 13.47 A^3/atom. The calculation puts the magnetization at 0.18 μB/atom. The space-group type is C2/m, No. 12.

a b c (Å): 6.1904 6.1904 4.9061
angles (deg): 71.21 71.21 57.98
Closest atoms and distances in Å follow each position.
Atoms (fractional coordinates):
Cr1 0.0000 0.0000 0.5000  6 O 1.88-1.89
Cr2 0.7301 0.2699 0.0000  4 O 1.81-1.84
Cr3 0.2699 0.7301 0.0000  4 O 1.81-1.84
O1 0.3992 0.3992 0.9470  2 Cr 1.84
O2 0.6008 0.6008 0.0530  2 Cr 1.84
O3 0.9015 0.9015 0.9085  3 Cr 1.89-2.08
O4 0.0985 0.0985 0.0915  3 Cr 1.89-2.08
O5 0.3156 0.8738 0.6149  2 Cr 1.81-1.88
O6 0.8738 0.3156 0.6149  2 Cr 1.81-1.88
O7 0.1262 0.6844 0.3851  2 Cr 1.81-1.88
O8 0.6844 0.1262 0.3851  2 Cr 1.81-1.88